Compound: LiFe2B2O6
Source: the Materials Project
Functional: PBE+U
Structure: relaxed

Output
ΔE_f (kJ per mole of atoms): -219.1
Symmetry: P1 (1)
ΔE to the lowest computed polymorph (eV/f.u.): 0.09
Magnetic moment (μB per formula unit): 9.000

Unit cell a=5.3132 b=9.0750 c=11.3431 alpha=66.47 beta=77.62 gamma=89.83
Element x y z (fractional)
1 Li 0.0000 0.0000 0.0000
2 Li 0.0706 0.3823 0.2588
3 Li 0.2598 0.2411 0.5144
4 Li 0.7547 0.7439 0.5141
5 Fe 0.0505 0.7016 0.2885
6 Fe 0.2526 0.8847 0.5409
7 Fe 0.3054 0.2773 0.7852
8 Fe 0.4920 0.8060 0.0406
9 Fe 0.5551 0.1839 0.2834
10 Fe 0.7496 0.3880 0.5388
11 Fe 0.7999 0.7762 0.7840
12 Fe 0.9949 0.3276 0.0335
13 B 0.0403 0.0308 0.2953
14 B 0.2493 0.5586 0.5401
15 B 0.2875 0.9354 0.7930
16 B 0.4934 0.1368 0.0408
17 B 0.5529 0.5150 0.2843
18 B 0.7544 0.0628 0.5364
19 B 0.7996 0.4392 0.7849
20 B 0.9989 0.6582 0.0405
21 O 0.0154 0.5780 0.5010
22 O 0.0217 0.3918 0.8318
23 O 0.0908 0.5127 0.0687
24 O 0.1099 0.7788 0.0682
25 O 0.1668 0.8417 0.7468
26 O 0.1868 0.0725 0.7975
27 O 0.2650 0.1708 0.9960
28 O 0.2726 0.0245 0.3339
29 O 0.3391 0.4013 0.5823
30 O 0.3939 0.6848 0.5361
31 O 0.4141 0.3737 0.3027
32 O 0.4410 0.6589 0.2319
33 O 0.5105 0.8866 0.8389
34 O 0.5216 0.0830 0.4946
35 O 0.5986 0.2359 0.0891
36 O 0.6195 0.0050 0.0369
37 O 0.6692 0.3348 0.7506
38 O 0.7137 0.5843 0.7721
39 O 0.7840 0.6982 0.9845
40 O 0.7852 0.5080 0.3222
41 O 0.8366 0.9064 0.5826
42 O 0.8999 0.1909 0.5299
43 O 0.9132 0.8953 0.3050
44 O 0.9336 0.1805 0.2540